## SrLi3MnN3 (PBE)

Data for a relaxed structure of SrLi3MnN3.

```
SrLi3MnN3
1.0
2.935 1.694 6.385
-2.935 1.694 6.385
0.000 -3.389 6.385
Sr Li Mn N
2 6 2 6
direct
0.162 0.162 0.162
0.838 0.838 0.838
0.023 0.264 0.605
0.264 0.605 0.023
0.395 0.977 0.736
0.605 0.023 0.264
0.736 0.395 0.977
0.977 0.736 0.395
0.433 0.433 0.433
0.567 0.567 0.567
0.120 0.405 0.705
0.295 0.880 0.595
0.405 0.705 0.120
0.595 0.295 0.880
0.705 0.120 0.405
0.880 0.595 0.295
```

Properties
- Energy: -5.817 eV per atom
- Formation enthalpy at 0 K: -754 meV/atom

---

## Li3MnP2 (PBE)

Data for a relaxed structure of Li3MnP2.

```
Li3MnP2
1.0
3.963 0.000 0.000
0.000 3.963 0.000
0.000 0.000 11.204
Li Mn P
6 2 4
direct
0.250 0.750 0.001
0.250 0.750 0.250
0.250 0.750 0.499
0.750 0.250 0.501
0.750 0.250 0.750
0.750 0.250 0.999
0.250 0.750 0.750
0.750 0.250 0.250
0.250 0.250 0.145
0.250 0.250 0.645
0.750 0.750 0.355
0.750 0.750 0.855
```

Properties
- Energy: -4.761 eV per atom
- Formation enthalpy at 0 K: -475 meV/atom

---

## Li3MnP2 (PBE)

Data for a relaxed structure of Li3MnP2.

```
Li3MnP2
1.0
11.537 0.000 0.000
0.000 11.595 0.000
0.000 0.000 5.779
Li Mn P
24 8 16
direct
0.124 0.245 0.005
0.124 0.755 0.995
0.125 0.000 0.000
0.125 0.253 0.502
0.125 0.747 0.498
0.130 0.500 0.500
0.369 0.500 0.500
0.375 0.000 0.500
0.375 0.249 0.502
0.375 0.751 0.498
0.376 0.248 0.005
0.376 0.752 0.995
0.624 0.248 0.495
0.624 0.752 0.505
0.625 0.000 0.000
0.625 0.249 0.998
0.625 0.751 0.002
0.631 0.500 0.000
0.870 0.500 0.000
0.875 0.000 0.500
0.875 0.253 0.998
0.875 0.747 0.002
0.876 0.245 0.495
0.876 0.755 0.505
0.119 0.500 0.000
0.125 0.000 0.500
0.375 0.000 0.000
0.381 0.500 0.000
0.619 0.500 0.500
0.625 0.000 0.500
0.875 0.000 0.000
0.881 0.500 0.500
0.000 0.114 0.750
0.000 0.387 0.250
0.000 0.613 0.750
0.000 0.886 0.250
0.249 0.114 0.254
0.249 0.886 0.746
0.250 0.387 0.784
0.250 0.613 0.216
0.500 0.115 0.750
0.500 0.387 0.250
0.500 0.613 0.750
0.500 0.885 0.250
0.750 0.387 0.716
0.750 0.613 0.284
0.751 0.114 0.246
0.751 0.886 0.754
```

Properties
- Energy: -4.812 eV per atom
- Formation enthalpy at 0 K: -526 meV/atom

---

## Li3MnP2 (PBE)

Data for a relaxed structure of Li3MnP2.

```
Li3MnP2
1.0
3.958 0.000 0.000
0.000 3.958 0.000
0.000 0.000 5.626
Li Mn P
3 1 2
direct
0.000 0.000 0.000
0.000 0.000 0.500
0.500 0.500 0.000
0.500 0.500 0.500
0.000 0.500 0.711
0.500 0.000 0.289
```

Properties
- Energy: -4.763 eV per atom
- Formation enthalpy at 0 K: -477 meV/atom

---

## LiMnP (PBE)

Data for a relaxed structure of LiMnP.

```
LiMnP
1.0
3.814 0.000 0.000
0.000 3.814 0.000
0.000 0.000 5.762
Li Mn P
2 2 2
direct
0.250 0.750 0.000
0.750 0.250 0.000
0.250 0.750 0.500
0.750 0.250 0.500
0.250 0.250 0.284
0.750 0.750 0.716
```

Properties
- Energy: -5.998 eV per atom
- Formation enthalpy at 0 K: -503 meV/atom

---

## LiMnP (PBE)

Data for a relaxed structure of LiMnP.

```
LiMnP
1.0
3.633 0.000 0.000
0.000 3.633 0.000
0.000 0.000 6.153
Li Mn P
2 2 2
direct
0.250 0.250 0.149
0.750 0.750 0.851
0.250 0.750 0.500
0.750 0.250 0.500
0.250 0.250 0.728
0.750 0.750 0.272
```

Properties
- Energy: -6.118 eV per atom
- Formation enthalpy at 0 K: -624 meV/atom

---

## LiMnP2 (PBE)

Data for a relaxed structure of LiMnP2.

```
LiMnP2
1.0
2.609 0.000 0.000
0.000 2.609 0.000
0.000 0.000 9.286
Li Mn P
1 1 2
direct
0.000 0.000 0.000
0.000 0.000 0.500
0.000 0.000 0.254
0.000 0.000 0.746
```

Properties
- Energy: -5.221 eV per atom
- Formation enthalpy at 0 K: 254 meV/atom

---

## RbLiMnS2 (PBE)

Data for a relaxed structure of RbLiMnS2.

```
RbLiMnS2
1.0
-1.967 1.967 6.496
1.967 -1.967 6.496
1.967 1.967 -6.496
Rb Li Mn S
1 1 1 2
direct
0.000 0.000 0.000
0.250 0.750 0.500
0.750 0.250 0.500
0.338 0.338 0.000
0.662 0.662 0.000
```

Properties
- Energy: -4.976 eV per atom
- Formation enthalpy at 0 K: -1112 meV/atom

---

## Li6MnS4 (PBE)

Data for a relaxed structure of Li6MnS4.

```
Li6MnS4
1.0
8.047 0.000 0.000
0.000 8.047 0.000
0.000 0.000 5.804
Li Mn S
12 2 8
direct
0.024 0.524 0.250
0.024 0.976 0.250
0.250 0.250 0.212
0.250 0.250 0.712
0.476 0.524 0.250
0.476 0.976 0.250
0.524 0.024 0.750
0.524 0.476 0.750
0.750 0.750 0.288
0.750 0.750 0.788
0.976 0.024 0.750
0.976 0.476 0.750
0.250 0.750 0.750
0.750 0.250 0.250
0.007 0.250 0.466
0.250 0.007 0.966
0.250 0.493 0.966
0.493 0.250 0.466
0.507 0.750 0.534
0.750 0.507 0.034
0.750 0.993 0.034
0.993 0.750 0.534
```

Properties
- Energy: -4.575 eV per atom
- Formation enthalpy at 0 K: -1379 meV/atom

---

## Li2MnSnS4 (PBE)

Data for a relaxed structure of Li2MnSnS4.

```
Li2MnSnS4
1.0
6.485 0.000 0.000
0.000 6.877 0.000
-6.442 0.000 8.050
Li Mn Sn S
4 2 2 8
direct
0.000 0.162 0.000
0.000 0.838 0.500
0.759 0.331 0.256
0.759 0.669 0.756
0.259 0.329 0.758
0.259 0.671 0.258
0.504 0.172 0.503
0.504 0.828 0.003
0.138 0.339 0.256
0.138 0.661 0.756
0.383 0.162 0.003
0.383 0.838 0.503
0.621 0.333 0.751
0.621 0.667 0.251
0.884 0.176 0.509
0.884 0.824 0.009
```

Properties
- Energy: -5.036 eV per atom
- Formation enthalpy at 0 K: -1096 meV/atom

---

## Li2MnSnS4 (PBE)

Data for a relaxed structure of Li2MnSnS4.

```
Li2MnSnS4
1.0
13.811 0.000 0.000
0.000 8.080 0.000
0.000 0.000 6.454
Li Mn Sn S
8 4 4 16
direct
0.080 0.245 0.000
0.165 0.000 0.502
0.335 0.500 0.002
0.420 0.745 0.500
0.580 0.255 0.000
0.665 0.500 0.502
0.835 0.000 0.002
0.920 0.755 0.500
0.166 0.494 0.491
0.334 0.994 0.991
0.666 0.006 0.491
0.834 0.506 0.991
0.086 0.744 0.992
0.414 0.244 0.492
0.586 0.756 0.992
0.914 0.256 0.492
0.080 0.252 0.614
0.090 0.743 0.614
0.167 0.497 0.118
0.169 0.992 0.114
0.331 0.492 0.614
0.333 0.997 0.618
0.410 0.243 0.114
0.420 0.752 0.114
0.580 0.248 0.614
0.590 0.757 0.614
0.667 0.003 0.118
0.669 0.508 0.114
0.831 0.008 0.614
0.833 0.503 0.618
0.910 0.257 0.114
0.920 0.748 0.114
```

Properties
- Energy: -5.035 eV per atom
- Formation enthalpy at 0 K: -1095 meV/atom

---

## LiMnSb2 (PBE)

Data for a relaxed structure of LiMnSb2.

```
LiMnSb2
1.0
3.140 0.000 0.000
0.000 3.140 0.000
0.000 0.000 10.693
Li Mn Sb
1 1 2
direct
0.000 0.000 0.000
0.000 0.000 0.500
0.000 0.000 0.253
0.000 0.000 0.747
```

Properties
- Energy: -4.523 eV per atom
- Formation enthalpy at 0 K: 213 meV/atom

---

## Li4MnSn2Se7 (PBE)

Data for a relaxed structure of Li4MnSn2Se7.

```
Li4MnSn2Se7
1.0
9.203 -3.674 0.000
9.203 3.674 0.000
-0.615 0.000 10.857
Li Mn Sn Se
8 2 4 14
direct
0.025 0.683 0.779
0.151 0.849 0.500
0.384 0.757 0.862
0.539 0.885 0.577
0.683 0.025 0.279
0.757 0.384 0.362
0.849 0.151 0.000
0.885 0.539 0.077
0.137 0.431 0.423
0.431 0.137 0.923
0.257 0.595 0.135
0.299 0.987 0.203
0.595 0.257 0.635
0.987 0.299 0.703
0.069 0.421 0.873
0.126 0.793 0.943
0.230 0.552 0.581
0.271 0.935 0.662
0.376 0.698 0.300
0.421 0.069 0.373
0.517 0.848 0.014
0.552 0.230 0.081
0.650 0.992 0.738
0.698 0.376 0.800
0.793 0.126 0.443
0.848 0.517 0.514
0.935 0.271 0.162
0.992 0.650 0.238
```

Properties
- Energy: -4.304 eV per atom
- Formation enthalpy at 0 K: -1020 meV/atom

---

## Li3Mo (PBE)

Data for a relaxed structure of Li3Mo.

```
Li3Mo
1.0
4.015 0.000 0.000
0.000 4.015 0.000
0.000 0.000 4.015
Li Mo
3 1
direct
0.000 0.000 0.500
0.000 0.500 0.000
0.500 0.000 0.000
0.500 0.500 0.500
```

Properties
- Energy: -3.395 eV per atom
- Formation enthalpy at 0 K: 748 meV/atom

---

## Li7MoN4 (PBE)

Data for a relaxed structure of Li7MoN4.

```
Li7MoN4
1.0
9.805 0.000 0.000
0.000 9.805 0.000
0.000 0.000 9.805
Li Mo N
56 8 32
direct
0.099 0.137 0.880
0.099 0.363 0.380
0.118 0.630 0.131
0.118 0.870 0.631
0.120 0.599 0.363
0.120 0.901 0.863
0.130 0.131 0.382
0.130 0.369 0.882
0.131 0.118 0.630
0.131 0.382 0.130
0.132 0.132 0.132
0.132 0.368 0.632
0.137 0.620 0.599
0.137 0.880 0.099
0.363 0.120 0.599
0.363 0.380 0.099
0.368 0.632 0.132
0.368 0.868 0.632
0.369 0.618 0.630
0.369 0.882 0.130
0.370 0.631 0.382
0.370 0.869 0.882
0.380 0.099 0.363
0.380 0.401 0.863
0.382 0.130 0.131
0.382 0.370 0.631
0.401 0.637 0.880
0.401 0.863 0.380
0.599 0.137 0.620
0.599 0.363 0.120
0.618 0.630 0.369
0.618 0.870 0.869
0.620 0.599 0.137
0.620 0.901 0.637
0.630 0.131 0.118
0.630 0.369 0.618
0.631 0.118 0.870
0.631 0.382 0.370
0.632 0.132 0.368
0.632 0.368 0.868
0.637 0.620 0.901
0.637 0.880 0.401
0.863 0.120 0.901
0.863 0.380 0.401
0.868 0.632 0.368
0.868 0.868 0.868
0.869 0.618 0.870
0.869 0.882 0.370
0.870 0.631 0.118
0.870 0.869 0.618
0.880 0.099 0.137
0.880 0.401 0.637
0.882 0.130 0.369
0.882 0.370 0.869
0.901 0.637 0.620
0.901 0.863 0.120
0.131 0.631 0.869
0.131 0.869 0.369
0.369 0.131 0.869
0.369 0.369 0.369
0.631 0.631 0.631
0.631 0.869 0.131
0.869 0.131 0.631
0.869 0.369 0.131
0.012 0.743 0.983
0.012 0.757 0.483
0.017 0.512 0.757
0.017 0.988 0.257
0.243 0.517 0.988
0.243 0.983 0.488
0.244 0.744 0.756
0.244 0.756 0.256
0.256 0.244 0.756
0.256 0.256 0.256
0.257 0.017 0.988
0.257 0.483 0.488
0.483 0.012 0.757
0.483 0.488 0.257
0.488 0.243 0.983
0.488 0.257 0.483
0.512 0.743 0.517
0.512 0.757 0.017
0.517 0.512 0.743
0.517 0.988 0.243
0.743 0.517 0.512
0.743 0.983 0.012
0.744 0.744 0.744
0.744 0.756 0.244
0.756 0.244 0.744
0.756 0.256 0.244
0.757 0.017 0.512
0.757 0.483 0.012
0.983 0.012 0.743
0.983 0.488 0.243
0.988 0.243 0.517
0.988 0.257 0.017
```

Properties
- Energy: -5.377 eV per atom
- Formation enthalpy at 0 K: -701 meV/atom